Below is a geometry-optimized Fe4Co3P6O24 structure, with properties calculated at the PBE+U level.

formation enthalpy at 0 K = -2266 meV per atom

Unit cell a=6.4121 b=7.9552 c=9.4111 alpha=104.47 beta=108.39 gamma=101.41
Atoms (fractional coordinates):
Fe (0.6159, 0.5496, 0.8865)
Fe (0.0462, 0.7242, 0.5266)
Fe (0.3841, 0.4504, 0.1135)
Fe (0.9538, 0.2758, 0.4734)
Co (0.2928, 0.8057, 0.2901)
Co (0.7072, 0.1943, 0.7099)
Co (0.0000, 0.0000, 0.0000)
P (0.7738, 0.8516, 0.2292)
P (0.2262, 0.1484, 0.7708)
P (0.6066, 0.7765, 0.6328)
P (0.3934, 0.2235, 0.3672)
P (0.0891, 0.5960, 0.8325)
P (0.9109, 0.4040, 0.1675)
O (0.7895, 0.0500, 0.2943)
O (0.2105, 0.9500, 0.7057)
O (0.7744, 0.8046, 0.0566)
O (0.2256, 0.1954, 0.9434)
O (0.6281, 0.2269, 0.4903)
O (0.3719, 0.7731, 0.5097)
O (0.0172, 0.1918, 0.6633)
O (0.9828, 0.8082, 0.3367)
O (0.8754, 0.4646, 0.8380)
O (0.1246, 0.5354, 0.1620)
O (0.8905, 0.2101, 0.0848)
O (0.1095, 0.7899, 0.9152)
O (0.9376, 0.4497, 0.3460)
O (0.2708, 0.0326, 0.2357)
O (0.7292, 0.9674, 0.7643)
O (0.3080, 0.5416, 0.9161)
O (0.6920, 0.4584, 0.0839)
O (0.2480, 0.2720, 0.4632)
O (0.0624, 0.5503, 0.6540)
O (0.4480, 0.3634, 0.2871)
O (0.5520, 0.6366, 0.7129)
O (0.4547, 0.2686, 0.7757)
O (0.5453, 0.7314, 0.2243)
O (0.7520, 0.7280, 0.5368)

Below is a geometry-optimized FeCoP2O8 structure, with properties calculated at the PBE+U level.

offset from the most stable computed form = 0.13 eV/f.u.
formation enthalpy at 0 K = -2156 meV per atom

Unit cell a=8.3732 b=8.3732 c=8.3732 alpha=62.08 beta=62.08 gamma=62.08
Atoms (fractional coordinates):
Fe (0.3548, 0.3548, 0.3548)
Fe (0.1448, 0.1448, 0.1448)
Fe (0.6452, 0.6452, 0.6452)
Co (0.9984, 0.9984, 0.9984)
Co (0.8536, 0.8536, 0.8536)
Co (0.5003, 0.5003, 0.5003)
P (0.4531, 0.7505, 0.0472)
P (0.7505, 0.0472, 0.4531)
P (0.0472, 0.4531, 0.7505)
P (0.9522, 0.5484, 0.2489)
P (0.2489, 0.9522, 0.5484)
P (0.5484, 0.2489, 0.9522)
O (0.6754, 0.8928, 0.4963)
O (0.8928, 0.4963, 0.6754)
O (0.4963, 0.6754, 0.8928)
O (0.2504, 0.9039, 0.0620)
O (0.6092, 0.8247, 0.0041)
O (0.4397, 0.5960, 0.2498)
O (0.9039, 0.0620, 0.2504)
O (0.5960, 0.2498, 0.4397)
O (0.9956, 0.3930, 0.1752)
O (0.2498, 0.4397, 0.5960)
O (0.9370, 0.7508, 0.0943)
O (0.1752, 0.9956, 0.3930)
O (0.8247, 0.0041, 0.6092)
O (0.0620, 0.2504, 0.9039)
O (0.7494, 0.5637, 0.4033)
O (0.0041, 0.6092, 0.8247)
O (0.4033, 0.7494, 0.5637)
O (0.0943, 0.9370, 0.7508)
O (0.5637, 0.4033, 0.7494)
O (0.3930, 0.1752, 0.9956)
O (0.7508, 0.0943, 0.9370)
O (0.5060, 0.3221, 0.1078)
O (0.1078, 0.5060, 0.3221)
O (0.3221, 0.1078, 0.5060)